# LiCaP, relaxed, DFT GGA-PBE
data_LiCaP
_chemical_formula_sum 'Li4 Ca4 P4'
_cell_length_a 4.1698
_cell_length_b 7.0708
_cell_length_c 7.8754
_cell_angle_alpha 90.00
_cell_angle_beta 90.00
_cell_angle_gamma 90.00
_space_group_name_H-M_alt 'P 1'
_space_group_IT_number 1
_space_group_name_Hall 'P 1'
loop_
_atom_site_label
_atom_site_fract_x
_atom_site_fract_y
_atom_site_fract_z
_atom_site_occupancy
P1 0.2500 0.2666 0.6099 1
P2 0.7500 0.2334 0.1099 1
P3 0.7500 0.7334 0.3901 1
P4 0.2500 0.7666 0.8901 1
Ca1 0.2500 0.5218 0.1904 1
Ca2 0.7500 0.9782 0.6904 1
Ca3 0.2500 0.0218 0.3096 1
Ca4 0.7500 0.4782 0.8096 1
Li1 0.2500 0.6395 0.5618 1
Li2 0.2500 0.1395 0.9382 1
Li3 0.7500 0.8605 0.0618 1
Li4 0.7500 0.3605 0.4382 1
# crystal system = orthorhombic
# space group = Pnma
# ΔE_f = -1.03 eV/atom


# Bi2BrClO2, relaxed, DFT GGA-PBE
data_Bi2BrClO2
_chemical_formula_sum 'Bi2 Br1 Cl1 O2'
_cell_length_a 3.9474
_cell_length_b 3.9474
_cell_length_c 7.8488
_cell_angle_alpha 90.00
_cell_angle_beta 90.00
_cell_angle_gamma 90.00
_space_group_name_H-M_alt 'P 1'
_space_group_IT_number 1
_space_group_name_Hall 'P 1'
loop_
_atom_site_label
_atom_site_fract_x
_atom_site_fract_y
_atom_site_fract_z
_atom_site_occupancy
O1 0.5000 0.0000 0.0043 1
O2 0.0000 0.5000 0.0043 1
Br1 0.0000 0.0000 0.6422 1
Cl1 0.5000 0.5000 0.3396 1
Bi1 0.0000 0.0000 0.1670 1
Bi2 0.5000 0.5000 0.8425 1
# crystal system = tetragonal
# space group = P4mm
# ΔE_f = -1.42 eV/atom